VASP calculation (r2SCAN) on a relaxed HoAlO3 crystal.

Properties
Space-group type: Pnma
Formation energy from the elements: -3.703 eV/atom
Energy: -304.186 eV/cell

The structure in POSCAR format:
```
HoAlO3
1.0
5.314 0.000 0.000
0.000 7.351 0.000
0.000 0.000 5.145
Ho Al O
4 4 12
direct
0.055 0.250 0.013
0.445 0.750 0.513
0.555 0.250 0.487
0.945 0.750 0.987
0.000 0.000 0.500
0.000 0.500 0.500
0.500 0.000 0.000
0.500 0.500 0.000
0.024 0.750 0.412
0.205 0.546 0.796
0.205 0.954 0.796
0.295 0.046 0.296
0.295 0.454 0.296
0.476 0.250 0.912
0.524 0.750 0.088
0.705 0.546 0.704
0.705 0.954 0.704
0.795 0.046 0.204
0.795 0.454 0.204
0.976 0.250 0.588
```